1.
A relaxed LiBi2As2Pb2O10 crystal. Source: Materials Project, functional PBE.

The value obtained for the total energy is -0.21023 Ha/atom. The volume comes out at 16.55 A^3/atom. Its space-group type is P1 (1). The value obtained for the total magnetic moment is 0.0 μB/cell.

a = 5.861 Å, b = 7.495 Å, c = 7.539 Å
α = 111.07°, β = 114.10°, γ = 85.16°
Fractional coordinates of all 17 atoms:
Li 0.579 0.814 0.066
Bi 0.967 0.218 0.035
Bi 0.029 0.728 0.931
As 0.684 0.637 0.340
As 0.315 0.368 0.662
Pb 0.363 0.899 0.670
Pb 0.664 0.170 0.405
O 0.247 0.299 0.390
O 0.407 0.740 0.236
O 0.736 0.712 0.602
O 0.674 0.390 0.239
O 0.060 0.301 0.699
O 0.890 0.740 0.291
O 0.219 0.981 0.966
O 0.763 0.970 0.000
O 0.345 0.628 0.790
O 0.592 0.231 0.744

---

2.
A relaxed Ga3Ir crystal. Source: Materials Project, functional PBE.

The value obtained for the total energy is -0.17769 Ha/atom. The volume comes out at 18.22 A^3/atom. Its space-group type is P4_2/mnm (136).

a = 6.554 Å, b = 6.554 Å, c = 6.787 Å
α = 90.00°, β = 90.00°, γ = 90.00°
Fractional coordinates of all 16 atoms:
Ga 0.000 0.500 0.500
Ga 0.500 0.000 0.000
Ga 0.500 0.000 0.500
Ga 0.000 0.500 0.000
Ga 0.351 0.649 0.240
Ga 0.649 0.351 0.240
Ga 0.149 0.149 0.740
Ga 0.851 0.851 0.740
Ga 0.649 0.351 0.760
Ga 0.351 0.649 0.760
Ga 0.851 0.851 0.260
Ga 0.149 0.149 0.260
Ir 0.163 0.837 0.500
Ir 0.837 0.163 0.500
Ir 0.337 0.337 0.000
Ir 0.663 0.663 0.000

---

3.
A relaxed Ba2HoMgNbO6 crystal. Source: Materials Project, functional PBE.

The value obtained for the total energy is -0.25733 Ha/atom. The volume comes out at 16.40 A^3/atom. Its space-group type is R3m (160). The value obtained for the total magnetic moment is 0.0 μB/cell.

a = 6.807 Å, b = 6.807 Å, c = 6.807 Å
α = 51.86°, β = 51.86°, γ = 51.87°
Fractional coordinates of all 11 atoms:
Ba 0.727 0.727 0.728
Ba 0.302 0.302 0.303
Ho 0.506 0.506 0.507
Mg 0.132 0.132 0.134
Nb 0.980 0.980 0.981
O 0.250 0.758 0.759
O 0.229 0.753 0.230
O 0.758 0.250 0.759
O 0.229 0.229 0.754
O 0.753 0.229 0.230
O 0.758 0.758 0.251

---

4.
A relaxed AgW6CCl18 crystal. Source: Materials Project, functional PBE.

The value obtained for the total energy is -0.20225 Ha/atom. The volume comes out at 24.50 A^3/atom. Its space-group type is P6_3/m (176). The value obtained for the total magnetic moment is 2.0 μB/cell.

a = 9.091 Å, b = 9.091 Å, c = 17.800 Å
α = 90.00°, β = 90.00°, γ = 120.00°
Fractional coordinates of all 52 atoms:
Ag 0.000 0.000 0.000
Ag 0.000 0.000 0.500
W 0.822 0.305 0.835
W 0.178 0.695 0.165
W 0.482 0.178 0.835
W 0.178 0.695 0.335
W 0.518 0.822 0.165
W 0.822 0.305 0.665
W 0.695 0.518 0.835
W 0.518 0.822 0.335
W 0.305 0.482 0.165
W 0.482 0.178 0.665
W 0.305 0.482 0.335
W 0.695 0.518 0.665
C 0.667 0.333 0.750
C 0.333 0.667 0.250
Cl 0.808 0.085 0.750
Cl 0.192 0.915 0.250
Cl 0.277 0.192 0.750
Cl 0.723 0.808 0.250
Cl 0.915 0.723 0.750
Cl 0.085 0.277 0.250
Cl 0.732 0.773 0.901
Cl 0.268 0.227 0.099
Cl 0.040 0.268 0.901
Cl 0.268 0.227 0.401
Cl 0.960 0.732 0.099
Cl 0.732 0.773 0.599
Cl 0.227 0.960 0.901
Cl 0.960 0.732 0.401
Cl 0.773 0.040 0.099
Cl 0.040 0.268 0.599
Cl 0.773 0.040 0.401
Cl 0.227 0.960 0.599
Cl 0.513 0.572 0.750
Cl 0.487 0.428 0.250
Cl 0.060 0.487 0.750
Cl 0.940 0.513 0.250
Cl 0.428 0.940 0.750
Cl 0.572 0.060 0.250
Cl 0.632 0.107 0.926
Cl 0.368 0.893 0.074
Cl 0.475 0.368 0.926
Cl 0.368 0.893 0.426
Cl 0.525 0.632 0.074
Cl 0.632 0.107 0.574
Cl 0.893 0.525 0.926
Cl 0.525 0.632 0.426
Cl 0.107 0.475 0.074
Cl 0.475 0.368 0.574
Cl 0.107 0.475 0.426
Cl 0.893 0.525 0.574